1.
The following is a DFT calculation (PBE+U) of a relaxed structure of LiCoP4O12.

Unit cell a=7.289 b=7.289 c=9.775 alpha=112.19 beta=112.19 gamma=70.07
Element x y z (fractional)
1 Li 0.044 0.956 0.750
2 Li 0.956 0.044 0.250
3 Co 0.000 0.500 0.500
4 Co 0.500 0.000 0.000
5 P 0.259 0.732 0.028
6 P 0.268 0.741 0.472
7 P 0.304 0.316 0.803
8 P 0.316 0.304 0.303
9 P 0.684 0.696 0.697
10 P 0.696 0.684 0.197
11 P 0.732 0.259 0.528
12 P 0.741 0.268 0.972
13 O 0.088 0.850 0.093
14 O 0.126 0.298 0.330
15 O 0.150 0.912 0.407
16 O 0.187 0.342 0.645
17 O 0.192 0.684 0.573
18 O 0.221 0.506 0.932
19 O 0.298 0.126 0.830
20 O 0.316 0.808 0.927
21 O 0.320 0.534 0.335
22 O 0.342 0.187 0.145
23 O 0.466 0.680 0.165
24 O 0.494 0.779 0.568
25 O 0.506 0.221 0.432
26 O 0.534 0.320 0.835
27 O 0.658 0.813 0.855
28 O 0.680 0.466 0.665
29 O 0.684 0.192 0.073
30 O 0.702 0.874 0.170
31 O 0.779 0.494 0.068
32 O 0.808 0.316 0.427
33 O 0.813 0.658 0.355
34 O 0.850 0.088 0.593
35 O 0.874 0.702 0.670
36 O 0.912 0.150 0.907

Properties
E_form, kJ/mol of formula units: -4167
Spin magnetization, μB per cell: 0.00
VASP energy, eV/atom: -6.8531

***

2.
The following is a DFT calculation (PBE+U) of a relaxed structure of LiMnP4O12.

Unit cell a=7.233 b=7.233 c=10.193 alpha=111.37 beta=111.37 gamma=71.47
Element x y z (fractional)
1 Li 0.026 0.974 0.750
2 Li 0.974 0.026 0.250
3 Mn 0.000 0.500 0.500
4 Mn 0.500 0.000 0.000
5 P 0.260 0.728 0.029
6 P 0.272 0.740 0.471
7 P 0.303 0.318 0.811
8 P 0.318 0.303 0.311
9 P 0.682 0.697 0.689
10 P 0.697 0.682 0.189
11 P 0.728 0.260 0.529
12 P 0.740 0.272 0.971
13 O 0.094 0.846 0.095
14 O 0.128 0.304 0.344
15 O 0.154 0.906 0.405
16 O 0.191 0.334 0.660
17 O 0.191 0.678 0.566
18 O 0.212 0.508 0.930
19 O 0.304 0.128 0.844
20 O 0.322 0.809 0.934
21 O 0.334 0.191 0.160
22 O 0.334 0.534 0.346
23 O 0.466 0.666 0.154
24 O 0.492 0.788 0.570
25 O 0.508 0.212 0.430
26 O 0.534 0.334 0.846
27 O 0.666 0.466 0.654
28 O 0.666 0.809 0.840
29 O 0.678 0.191 0.066
30 O 0.696 0.872 0.156
31 O 0.788 0.492 0.070
32 O 0.809 0.322 0.434
33 O 0.809 0.666 0.340
34 O 0.846 0.094 0.595
35 O 0.872 0.696 0.656
36 O 0.906 0.154 0.905

Properties
E_form, kJ/mol of formula units: -4450
Spin magnetization, μB per cell: 8.00
VASP energy, eV/atom: -7.1282

***

3.
The following is a DFT calculation (PBE+U) of a relaxed structure of Li2TiFeO4.

Unit cell a=4.015 b=4.097 c=9.338 alpha=102.64 beta=102.41 gamma=90.00
Element x y z (fractional)
1 Li 0.000 0.000 0.000
2 Li 0.110 0.609 0.221
3 Li 0.244 0.244 0.488
4 Li 0.888 0.388 0.775
5 Ti 0.371 0.872 0.742
6 Ti 0.621 0.120 0.246
7 Fe 0.497 0.497 0.994
8 Fe 0.754 0.754 0.509
9 O 0.120 0.119 0.239
10 O 0.261 0.761 0.522
11 O 0.375 0.374 0.749
12 O 0.499 0.999 0.998
13 O 0.623 0.624 0.247
14 O 0.731 0.231 0.462
15 O 0.876 0.875 0.752
16 O 0.998 0.498 0.996

Properties
E_form, kJ/mol of formula units: -1931
Spin magnetization, μB per cell: 7.79
VASP energy, eV/atom: -6.8730

***

4.
The following is a DFT calculation (PBE+U) of a relaxed structure of Mn6O5F7.

Unit cell a=4.710 b=5.728 c=15.652 alpha=89.95 beta=89.49 gamma=88.78
Element x y z (fractional)
1 Mn 0.000 0.000 0.000
2 Mn 0.000 0.006 0.663
3 Mn 0.432 0.500 0.673
4 Mn 0.438 0.827 0.832
5 Mn 0.442 0.814 0.502
6 Mn 0.447 0.510 0.010
7 Mn 0.452 0.500 0.341
8 Mn 0.476 0.794 0.169
9 Mn 0.935 0.001 0.328
10 Mn 0.954 0.315 0.492
11 Mn 0.964 0.326 0.156
12 Mn 0.975 0.303 0.833
13 O 0.156 0.269 0.384
14 O 0.174 0.045 0.887
15 O 0.179 0.051 0.552
16 O 0.181 0.277 0.052
17 O 0.182 0.271 0.724
18 O 0.233 0.767 0.727
19 O 0.249 0.764 0.063
20 O 0.657 0.546 0.448
21 O 0.665 0.768 0.279
22 O 0.679 0.536 0.110
23 F 0.181 0.775 0.393
24 F 0.193 0.043 0.214
25 F 0.204 0.562 0.558
26 F 0.219 0.532 0.233
27 F 0.225 0.547 0.901
28 F 0.684 0.044 0.441
29 F 0.685 0.788 0.942
30 F 0.690 0.765 0.616
31 F 0.696 0.544 0.787
32 F 0.710 0.290 0.942
33 F 0.717 0.281 0.608
34 F 0.719 0.263 0.264
35 F 0.725 0.040 0.768
36 F 0.739 0.032 0.104

Properties
E_form, kJ/mol of formula units: -4178
Spin magnetization, μB per cell: 50.00
VASP energy, eV/atom: -6.6521

***

5.
The following is a DFT calculation (PBE+U) of a relaxed structure of La2WO6.

Unit cell a=5.527 b=9.542 c=10.476 alpha=90.00 beta=90.00 gamma=90.00
Element x y z (fractional)
1 La 0.023 0.105 0.464
2 La 0.032 0.219 0.867
3 La 0.468 0.781 0.367
4 La 0.477 0.895 0.964
5 La 0.523 0.395 0.536
6 La 0.532 0.281 0.133
7 La 0.968 0.719 0.633
8 La 0.977 0.605 0.036
9 W 0.040 0.497 0.350
10 W 0.460 0.503 0.850
11 W 0.540 0.003 0.650
12 W 0.960 0.997 0.150
13 O 0.076 0.850 0.032
14 O 0.167 0.952 0.289
15 O 0.187 0.635 0.240
16 O 0.196 0.634 0.821
17 O 0.221 0.111 0.069
18 O 0.245 0.588 0.488
19 O 0.255 0.412 0.988
20 O 0.279 0.889 0.569
21 O 0.304 0.366 0.321
22 O 0.313 0.365 0.740
23 O 0.333 0.048 0.789
24 O 0.424 0.150 0.532
25 O 0.576 0.650 0.968
26 O 0.667 0.548 0.711
27 O 0.687 0.865 0.760
28 O 0.696 0.866 0.179
29 O 0.721 0.389 0.931
30 O 0.745 0.912 0.512
31 O 0.755 0.088 0.012
32 O 0.779 0.611 0.431
33 O 0.804 0.134 0.679
34 O 0.813 0.135 0.260
35 O 0.833 0.452 0.211
36 O 0.924 0.350 0.468

Properties
E_form, kJ/mol of formula units: -2868
VASP energy, eV/atom: -8.1873

***

6.
The following is a DFT calculation (PBE+U) of a relaxed structure of MoPO5.

Unit cell a=13.053 b=6.482 c=10.862 alpha=90.00 beta=90.00 gamma=90.00
Element x y z (fractional)
1 Mo 0.118 0.025 0.000
2 Mo 0.241 0.250 0.734
3 Mo 0.259 0.750 0.234
4 Mo 0.382 0.525 0.500
5 Mo 0.618 0.475 0.000
6 Mo 0.741 0.250 0.734
7 Mo 0.759 0.750 0.234
8 Mo 0.882 0.975 0.500
9 P 0.005 0.842 0.241
10 P 0.181 0.526 0.980
11 P 0.319 0.026 0.480
12 P 0.495 0.342 0.741
13 P 0.505 0.658 0.241
14 P 0.681 0.974 0.980
15 P 0.819 0.474 0.480
16 P 0.995 0.158 0.741
17 O 0.012 0.049 0.866
18 O 0.015 0.007 0.138
19 O 0.088 0.300 0.715
20 O 0.104 0.711 0.246
21 O 0.110 0.714 0.966
22 O 0.116 0.336 0.016
23 O 0.218 0.066 0.855
24 O 0.223 0.979 0.106
25 O 0.240 0.069 0.585
26 O 0.243 0.485 0.861
27 O 0.257 0.985 0.361
28 O 0.260 0.569 0.085
29 O 0.277 0.479 0.606
30 O 0.282 0.566 0.355
31 O 0.384 0.836 0.516
32 O 0.390 0.214 0.466
33 O 0.396 0.211 0.746
34 O 0.412 0.800 0.215
35 O 0.485 0.507 0.638
36 O 0.488 0.549 0.366
37 O 0.512 0.451 0.866
38 O 0.515 0.493 0.138
39 O 0.588 0.200 0.715
40 O 0.604 0.789 0.246
41 O 0.610 0.786 0.966
42 O 0.616 0.164 0.016
43 O 0.718 0.434 0.855
44 O 0.723 0.521 0.106
45 O 0.740 0.431 0.585
46 O 0.743 0.015 0.861
47 O 0.757 0.515 0.361
48 O 0.760 0.931 0.085
49 O 0.777 0.021 0.606
50 O 0.782 0.934 0.355
51 O 0.884 0.664 0.516
52 O 0.890 0.286 0.466
53 O 0.896 0.289 0.746
54 O 0.912 0.700 0.215
55 O 0.985 0.993 0.638
56 O 0.988 0.951 0.366

Properties
E_form, kJ/mol of formula units: -1504
Spin magnetization, μB per cell: 0.12
VASP energy, eV/atom: -7.1364

***

7.
The following is a DFT calculation (PBE+U) of a relaxed structure of Li3FeO3.

Unit cell a=3.574 b=9.083 c=9.085 alpha=90.00 beta=90.00 gamma=90.00
Element x y z (fractional)
1 Li 0.000 0.076 0.000
2 Li 0.000 0.104 0.572
3 Li 0.000 0.389 0.763
4 Li 0.000 0.419 0.344
5 Li 0.000 0.659 0.026
6 Li 0.000 0.851 0.310
7 Li 0.500 0.149 0.810
8 Li 0.500 0.341 0.526
9 Li 0.500 0.581 0.844
10 Li 0.500 0.611 0.263
11 Li 0.500 0.896 0.072
12 Li 0.500 0.924 0.500
13 Fe 0.000 0.634 0.554
14 Fe 0.000 0.866 0.786
15 Fe 0.500 0.134 0.286
16 Fe 0.500 0.366 0.054
17 O 0.000 0.070 0.783
18 O 0.000 0.426 0.559
19 O 0.000 0.640 0.345
20 O 0.000 0.653 0.774
21 O 0.000 0.854 0.573
22 O 0.000 0.864 0.989
23 O 0.500 0.136 0.489
24 O 0.500 0.146 0.073
25 O 0.500 0.347 0.274
26 O 0.500 0.360 0.845
27 O 0.500 0.574 0.059
28 O 0.500 0.930 0.283

Properties
E_form, kJ/mol of formula units: -1279
Spin magnetization, μB per cell: 15.77
VASP energy, eV/atom: -5.4261

***

8.
The following is a DFT calculation (PBE+U) of a relaxed structure of La7SmMn7CuO24.

Unit cell a=7.857 b=7.857 c=7.857 alpha=89.96 beta=89.96 gamma=89.96
Element x y z (fractional)
1 La 0.000 0.000 0.000
2 La 0.000 0.000 0.494
3 La 0.000 0.494 0.000
4 La 0.000 0.494 0.494
5 La 0.494 0.000 0.000
6 La 0.494 0.000 0.494
7 La 0.494 0.494 0.000
8 Sm 0.493 0.493 0.493
9 Mn 0.247 0.247 0.746
10 Mn 0.247 0.746 0.247
11 Mn 0.247 0.746 0.746
12 Mn 0.746 0.247 0.247
13 Mn 0.746 0.247 0.746
14 Mn 0.746 0.746 0.247
15 Mn 0.746 0.746 0.746
16 Cu 0.247 0.247 0.247
17 O 0.247 0.247 0.991
18 O 0.247 0.747 0.998
19 O 0.247 0.991 0.247
20 O 0.247 0.998 0.747
21 O 0.249 0.249 0.503
22 O 0.249 0.496 0.745
23 O 0.249 0.503 0.249
24 O 0.249 0.745 0.496
25 O 0.494 0.745 0.745
26 O 0.496 0.249 0.745
27 O 0.496 0.745 0.249
28 O 0.503 0.249 0.249
29 O 0.745 0.249 0.496
30 O 0.745 0.494 0.745
31 O 0.745 0.496 0.249
32 O 0.745 0.745 0.494
33 O 0.747 0.247 0.998
34 O 0.747 0.747 0.999
35 O 0.747 0.998 0.247
36 O 0.747 0.999 0.747
37 O 0.991 0.247 0.247
38 O 0.998 0.247 0.747
39 O 0.998 0.747 0.247
40 O 0.999 0.747 0.747

Properties
E_form, kJ/mol of formula units: -10991
Spin magnetization, μB per cell: 26.00
VASP energy, eV/atom: -7.8001